# 1
Lu3BC3: optimized geometry, PBE.

Values from the calculation:
Calculated volume, A^3/atom: 14.0
Theoretical density, g/cm³: 9.67
Formation energy, eV per atom: -0.4965

Lattice parameters (Å, degrees): 4.984 5.018 15.708 90.00 90.00 90.00
Space group Cmcm (No. 63)
Inequivalent atoms, fractional coordinates:
Lu 0.000 0.084 0.104
Lu 0.000 0.410 0.750
B 0.000 0.500 0.000
C 0.000 0.098 0.250
C 0.000 0.404 0.588



# 2
LuB2C2: optimized geometry, PBE.

Values from the calculation:
Calculated volume, A^3/atom: 9.7
Theoretical density, g/cm³: 7.53
Formation energy, eV per atom: -0.4227

Lattice parameters (Å, degrees): 5.319 5.319 3.439 90.00 90.00 90.00
Space group P4/mbm (No. 127)
Inequivalent atoms, fractional coordinates:
Lu 0.000 0.000 0.000
B 0.136 0.364 0.500
C 0.163 0.663 0.500



# 3
LuB2C: optimized geometry, PBE.

Values from the calculation:
Calculated volume, A^3/atom: 10.2
Theoretical density, g/cm³: 8.49
Formation energy, eV per atom: -0.5613

Lattice parameters (Å, degrees): 6.734 6.734 7.195 90.00 90.00 90.00
Space group P4_2/mbc (No. 135)
Inequivalent atoms, fractional coordinates:
Lu 0.191 0.309 0.250
B 0.034 0.847 0.000
B 0.093 0.597 0.000
C 0.040 0.822 0.500



# 4
LuB2C: optimized geometry, PBE.

Values from the calculation:
Calculated volume, A^3/atom: 10.3
Theoretical density, g/cm³: 8.40
Formation energy, eV per atom: -0.3410

Lattice parameters (Å, degrees): 6.696 6.696 3.678 90.00 90.00 90.00
Space group P4/mbm (No. 127)
Inequivalent atoms, fractional coordinates:
Lu 0.197 0.303 0.000
B 0.032 0.819 0.500
C 0.083 0.583 0.500



# 5
LuB2C: optimized geometry, PBE.

Values from the calculation:
Calculated volume, A^3/atom: 10.2
Theoretical density, g/cm³: 8.51
Formation energy, eV per atom: -0.5628

Lattice parameters (Å, degrees): 6.680 6.790 3.590 90.00 90.00 90.00
Space group Pbam (No. 55)
Inequivalent atoms, fractional coordinates:
Lu 0.188 0.192 0.000
B 0.096 0.907 0.500
B 0.153 0.467 0.500
C 0.041 0.678 0.500



# 6
LuBC: optimized geometry, PBE.

Values from the calculation:
Calculated volume, A^3/atom: 10.0
Theoretical density, g/cm³: 10.95
Formation energy, eV per atom: -0.3899

Lattice parameters (Å, degrees): 2.9911 2.9911 7.7442 90.00 90.00 120.00
Space group P6_3/mmc (No. 194)
Inequivalent atoms, fractional coordinates:
Lu 0.0000 0.0000 0.0000
B 0.3333 0.6667 0.2500
C 0.3333 0.6667 0.7500



# 7
Lu4B3C4: optimized geometry, PBE.

Values from the calculation:
Calculated volume, A^3/atom: 12.7
Theoretical density, g/cm³: 9.28
Formation energy, eV per atom: -0.5275

Lattice parameters (Å, degrees): 3.414 3.499 11.767 92.64 96.06 90.15
Space group P-1 (No. 2)
Inequivalent atoms, fractional coordinates:
Lu 0.115 0.446 0.141
Lu 0.305 0.025 0.650
B 0.233 0.493 0.460
B 0.500 0.000 0.000
C 0.188 0.472 0.331
C 0.386 0.064 0.879



# 8
LuB2C2: optimized geometry, PBE.

Values from the calculation:
Calculated volume, A^3/atom: 9.9
Theoretical density, g/cm³: 7.41
Formation energy, eV per atom: -0.2692

Lattice parameters (Å, degrees): 3.778 3.778 6.931 90.00 90.00 90.00
Space group P4_2/mmc (No. 131)
Inequivalent atoms, fractional coordinates:
Lu 0.000 0.000 0.250
B 0.215 0.500 0.000
C 0.188 0.500 0.500



Among the records above, which one has the highest calculated volume? Lu3BC3